Record 1
DFT (PBE) results for a relaxed Ir5C3 crystal.

Cell and atoms, written as POSCAR:
```
Ir5C3
1.0
6.923 0.000 0.000
0.000 10.591 0.000
0.000 0.000 2.995
Ir C
10 6
Cartesian
0.000 0.000 0.000
1.536 3.983 1.498
1.563 6.615 1.498
1.899 1.320 1.498
1.925 9.279 1.498
3.461 5.295 0.000
4.997 1.312 1.498
5.024 9.271 1.498
5.360 3.975 1.498
5.387 6.607 1.498
0.000 5.295 1.498
1.715 2.647 0.000
1.746 7.942 0.000
3.461 0.000 1.498
5.177 2.649 0.000
5.207 7.944 0.000
```

- V: 13.72 Å³/atom
- ΔH_f (0 K): 0.7824 eV per atom
- Crystal system: orthorhombic



Record 2
DFT (PBE) results for a relaxed CdGe2O5 crystal.

Cell and atoms, written as POSCAR:
```
CdGe2O5
1.0
5.456 0.000 0.000
-1.559 5.385 0.000
-1.586 -2.404 6.437
Cd Ge O
2 4 10
Cartesian
0.002 1.061 1.689
2.308 1.920 4.748
-0.678 -0.081 4.819
2.728 0.000 0.000
1.935 -1.202 3.218
2.988 3.062 1.617
-1.211 3.107 2.866
-0.501 -1.504 5.861
-1.209 1.318 5.778
1.784 -0.296 1.591
0.850 0.248 3.963
1.460 2.733 2.474
0.527 3.278 4.845
3.520 1.664 0.658
2.812 4.485 0.575
3.522 -0.125 3.570
```

- V: 11.82 Å³/atom
- ΔH_f (0 K): -1.9348 eV per atom
- Crystal system: triclinic



Record 3
DFT (PBE) results for a relaxed Lu2Cr2C3 crystal.

Cell and atoms, written as POSCAR:
```
Lu2Cr2C3
1.0
5.227 -1.637 0.000
5.227 1.637 0.000
-1.580 0.000 5.239
Lu Cr C
2 2 3
Cartesian
0.650 0.000 1.656
8.223 0.000 3.583
3.434 0.000 0.605
5.439 0.000 4.634
1.115 0.000 3.988
5.227 0.000 0.000
7.758 0.000 1.251
```

- V: 12.80 Å³/atom
- ΔH_f (0 K): -0.3510 eV per atom
- Crystal system: monoclinic



Record 4
DFT (PBE) results for a relaxed Cs8Na4YHo3Cl24 crystal.

Cell and atoms, written as POSCAR:
```
Cs8Na4YHo3Cl24
1.0
3.855 2.226 25.178
-3.855 2.226 25.178
0.000 -4.451 25.178
Cs Na Y Ho Cl
8 4 1 3 24
Cartesian
0.000 0.000 4.722
0.000 0.000 14.162
0.000 0.000 23.603
0.000 0.000 33.046
0.000 0.000 42.488
0.000 0.000 51.930
0.000 0.000 61.371
0.000 0.000 70.812
0.000 0.000 9.442
0.000 0.000 28.326
0.000 0.000 47.208
0.000 0.000 66.092
0.000 0.000 0.000
0.000 0.000 18.883
0.000 0.000 37.767
0.000 0.000 56.650
-1.995 -1.152 29.954
0.000 -2.148 17.365
-1.860 1.074 17.365
0.000 -2.288 26.707
-1.982 1.144 26.707
-1.860 -1.074 39.285
-1.982 -1.144 48.826
0.000 -2.148 36.248
-1.860 1.074 36.248
0.000 -2.303 45.580
-1.995 1.152 45.580
-1.860 -1.074 58.169
1.860 1.074 17.365
1.995 -1.152 29.954
0.000 2.303 29.954
1.860 -1.074 39.286
0.000 2.148 39.286
1.982 1.144 26.707
1.860 1.074 36.248
1.982 -1.144 48.826
0.000 2.288 48.826
1.860 -1.074 58.169
0.000 2.148 58.169
1.995 1.152 45.580
```

- V: 32.40 Å³/atom
- ΔH_f (0 K): -2.5027 eV per atom
- Crystal system: trigonal



Record 5
DFT (PBE) results for a relaxed LiMg2 crystal.

Cell and atoms, written as POSCAR:
```
LiMg2
1.0
3.193 0.000 0.000
-1.596 2.765 0.000
0.000 0.000 14.829
Li Mg
2 4
Cartesian
0.000 1.843 3.707
1.596 0.922 11.122
0.000 1.843 8.679
0.000 1.843 13.565
1.596 0.922 1.264
1.596 0.922 6.150
```

- V: 21.82 Å³/atom
- ΔH_f (0 K): -0.0145 eV per atom
- Crystal system: hexagonal



Record 6
DFT (PBE) results for a relaxed Ba8Cu8O19 crystal.

Cell and atoms, written as POSCAR:
```
Ba8Cu8O19
1.0
5.755 0.000 0.000
-0.010 9.405 0.000
-0.095 -0.219 9.908
Ba Cu O
8 8 19
Cartesian
0.000 0.000 0.000
-0.061 6.894 6.444
0.015 2.284 3.202
2.768 4.582 4.922
2.834 6.892 1.593
2.822 -0.071 4.866
2.833 2.322 8.103
5.568 4.533 9.853
-0.024 8.246 3.094
-0.011 3.492 6.449
0.063 0.929 6.530
2.767 5.665 8.058
2.909 3.563 1.453
2.909 8.251 7.842
2.998 1.027 1.531
5.701 5.663 3.093
1.096 6.957 3.881
1.253 4.604 7.415
1.347 2.234 5.779
1.410 -0.057 7.537
1.528 4.425 2.310
1.688 -0.004 2.271
1.711 2.185 0.831
2.648 4.722 9.649
2.780 6.821 6.450
3.867 7.024 8.904
4.179 4.647 2.454
4.252 2.288 0.772
4.337 -0.036 2.333
4.371 4.393 7.295
4.462 0.014 7.452
4.530 2.161 5.850
5.631 4.743 4.685
5.668 6.979 1.612
5.674 9.146 4.692
```

- V: 15.32 Å³/atom
- ΔH_f (0 K): -1.9067 eV per atom
- Crystal system: triclinic